Material: Ce2SnPd2
Method: DFT, GGA-PBE
State: relaxed

Lattice parameters (Å, degrees): 7.810 7.810 3.811 90.00 90.00 90.00
Sites, in units of the cell vectors:
1 Ce 0.323 0.823 0.500
2 Pd 0.872 0.372 0.000
3 Ce 0.677 0.177 0.500
4 Pd 0.372 0.128 0.000
5 Sn 0.000 0.000 0.000
6 Pd 0.128 0.628 0.000
7 Ce 0.823 0.677 0.500
8 Pd 0.628 0.872 0.000
9 Sn 0.500 0.500 0.000
10 Ce 0.177 0.323 0.500

Output
Symmetry ... P4/mbm
Crystal system ... tetragonal



Material: CeSnPd4
Method: DFT, GGA-PBE
State: relaxed

Lattice parameters (Å, degrees): 8.377 9.032 12.809 69.36 90.00 90.00
Sites, in units of the cell vectors:
1 Ce 0.422 0.692 0.616
2 Ce 0.771 0.537 0.925
3 Pd 0.408 0.357 0.604
4 Pd 0.581 0.440 0.120
5 Sn 0.750 0.463 0.575
6 Pd 0.922 0.412 0.176
7 Pd 0.908 0.143 0.396
8 Pd 0.500 0.235 0.000
9 Ce 0.078 0.192 0.616
10 Pd 0.092 0.857 0.604
11 Sn 0.750 0.660 0.181
12 Sn 0.250 0.340 0.819
13 Pd 0.081 0.060 0.880
14 Pd 0.090 0.667 0.220
15 Pd 0.910 0.333 0.780
16 Sn 0.750 0.160 0.181
17 Pd 0.695 0.159 0.683
18 Ce 0.729 0.037 0.925
19 Ce 0.578 0.308 0.384
20 Ce 0.271 0.963 0.075
21 Pd 0.000 0.265 0.000
22 Sn 0.750 0.963 0.575
23 Pd 0.408 0.039 0.604
24 Sn 0.250 0.537 0.425
25 Pd 0.578 0.912 0.176
26 Pd 0.805 0.659 0.683
27 Sn 0.250 0.037 0.425
28 Pd 0.078 0.588 0.824
29 Pd 0.590 0.387 0.780
30 Pd 0.410 0.167 0.220
31 Pd 0.092 0.539 0.604
32 Pd 0.919 0.940 0.120
33 Pd 0.592 0.961 0.396
34 Pd 0.500 0.765 0.000
35 Ce 0.229 0.463 0.075
36 Pd 0.592 0.643 0.396
37 Pd 0.590 0.833 0.780
38 Sn 0.250 0.840 0.819
39 Pd 0.090 0.113 0.220
40 Ce 0.922 0.808 0.384
41 Pd 0.419 0.560 0.880
42 Pd 0.422 0.088 0.824
43 Pd 0.195 0.341 0.317
44 Pd 0.908 0.461 0.396
45 Pd 0.410 0.613 0.220
46 Pd 0.305 0.841 0.317
47 Pd 0.910 0.887 0.780
48 Pd 0.000 0.735 0.000

Output
Total moment ... 4.754 μB per cell
Symmetry ... Cmce
Crystal system ... orthorhombic



Material: CeTlPd
Method: DFT, GGA-PBE
State: relaxed

Lattice parameters (Å, degrees): 7.902 7.902 3.967 90.00 90.00 120.00
Sites, in units of the cell vectors:
1 Pd 0.333 0.667 0.000
2 Tl 0.000 0.261 0.000
3 Tl 0.261 0.000 0.000
4 Pd 0.000 0.000 0.500
5 Ce 0.592 0.000 0.500
6 Tl 0.739 0.739 0.000
7 Ce 0.408 0.408 0.500
8 Pd 0.667 0.333 0.000
9 Ce 0.000 0.592 0.500

Output
Symmetry ... P-62m
Crystal system ... hexagonal



Material: CeYPd6
Method: DFT, GGA-PBE
State: relaxed

Lattice parameters (Å, degrees): 4.158 4.158 8.237 90.00 90.00 90.00
Sites, in units of the cell vectors:
1 Pd 0.000 0.500 0.246
2 Pd 0.500 0.000 0.246
3 Pd 0.500 0.000 0.754
4 Y 0.000 0.000 0.500
5 Ce 0.000 0.000 0.000
6 Pd 0.500 0.500 0.000
7 Pd 0.000 0.500 0.754
8 Pd 0.500 0.500 0.500

Output
Symmetry ... P4/mmm
Crystal system ... tetragonal



Material: Ce3Pm
Method: DFT, GGA-PBE
State: relaxed

Lattice parameters (Å, degrees): 4.834 4.834 4.834 90.00 90.00 90.00
Sites, in units of the cell vectors:
1 Pm 0.000 0.000 0.000
2 Ce 0.500 0.500 0.000
3 Ce 0.000 0.500 0.500
4 Ce 0.500 0.000 0.500

Output
Total moment ... 0.098 μB per cell
Symmetry ... Pm-3m
Crystal system ... cubic



Material: CePm3
Method: DFT, GGA-PBE
State: relaxed

Lattice parameters (Å, degrees): 6.341 6.341 6.341 132.11 132.11 70.05
Sites, in units of the cell vectors:
1 Pm 0.500 0.500 0.000
2 Pm 0.250 0.750 0.500
3 Ce 0.000 0.000 0.000
4 Pm 0.750 0.250 0.500

Output
Total moment ... 1.326 μB per cell
Symmetry ... I4/mmm
E above lowest polymorph ... 0.000 eV/atom
Crystal system ... tetragonal



Material: CePm3
Method: DFT, GGA-PBE
State: relaxed

Lattice parameters (Å, degrees): 7.339 7.339 5.983 90.00 90.00 120.00
Sites, in units of the cell vectors:
1 Ce 0.333 0.667 0.750
2 Pm 0.666 0.833 0.250
3 Pm 0.167 0.334 0.250
4 Pm 0.334 0.167 0.750
5 Pm 0.833 0.666 0.750
6 Ce 0.667 0.333 0.250
7 Pm 0.833 0.167 0.750
8 Pm 0.167 0.833 0.250

Output
Total moment ... 2.657 μB per cell
Symmetry ... P6_3/mmc
E above lowest polymorph ... 0.011 eV/atom
Crystal system ... hexagonal



Material: CePr3
Method: DFT, GGA-PBE
State: relaxed

Lattice parameters (Å, degrees): 6.530 6.530 6.530 132.04 132.04 70.17
Sites, in units of the cell vectors:
1 Pr 0.500 0.500 0.000
2 Ce 0.000 0.000 0.000
3 Pr 0.250 0.750 0.500
4 Pr 0.750 0.250 0.500

Output
Total moment ... 1.526 μB per cell
Symmetry ... I4/mmm
E above lowest polymorph ... 0.014 eV/atom
Crystal system ... tetragonal



The records above yield DFT total energy values of -6.078; -5.833; -5.072; -6.303; -5.535; -4.963; -4.952; -4.969 eV/atom, respectively.